A relaxed structure of Nd2Si3Rh, computed with r²SCAN.

abc: 8.219 8.219 8.476
angles: 90.00 90.00 120.00
Atoms (fractional coordinates):
Nd 0.000 0.000 0.250
Nd 0.000 0.000 0.750
Nd 0.000 0.500 0.250
Nd 0.000 0.500 0.750
Nd 0.500 0.000 0.250
Nd 0.500 0.000 0.750
Nd 0.500 0.500 0.250
Nd 0.500 0.500 0.750
Si 0.167 0.334 0.001
Si 0.167 0.334 0.499
Si 0.167 0.833 0.001
Si 0.167 0.833 0.499
Si 0.334 0.167 0.501
Si 0.334 0.167 0.999
Si 0.666 0.833 0.001
Si 0.666 0.833 0.499
Si 0.833 0.167 0.501
Si 0.833 0.167 0.999
Si 0.833 0.666 0.501
Si 0.833 0.666 0.999
Rh 0.333 0.667 0.501
Rh 0.333 0.667 0.999
Rh 0.667 0.333 0.001
Rh 0.667 0.333 0.499

Energy = -19.192 eV per atom
Energy of formation = -0.976 eV per atom


A relaxed structure of Nd3InC, computed with r²SCAN.

abc: 5.131 5.131 5.131
angles: 90.00 90.00 90.00
Atoms (fractional coordinates):
Nd 0.000 0.000 0.500
Nd 0.000 0.500 0.000
Nd 0.500 0.000 0.000
In 0.500 0.500 0.500
C 0.000 0.000 0.000

Energy = -24.629 eV per atom
Energy of formation = -0.473 eV per atom


A relaxed structure of Li5Cu4P6, computed with r²SCAN.

abc: 7.886 7.886 7.886
angles: 151.84 113.38 73.83
Atoms (fractional coordinates):
Li 0.000 0.000 0.000
Li 0.279 0.279 0.000
Li 0.325 0.500 0.825
Li 0.675 0.500 0.175
Li 0.721 0.721 0.000
Cu 0.094 0.826 0.268
Cu 0.441 0.174 0.268
Cu 0.559 0.826 0.732
Cu 0.906 0.174 0.732
P 0.025 0.649 0.376
P 0.274 0.649 0.624
P 0.415 0.915 0.500
P 0.585 0.085 0.500
P 0.726 0.351 0.376
P 0.975 0.351 0.624

Energy = -7.810 eV per atom
Energy of formation = -0.521 eV per atom


A relaxed structure of Ta3RhS6, computed with r²SCAN.

abc: 5.761 5.761 12.080
angles: 90.00 90.00 120.00
Atoms (fractional coordinates):
Ta 0.000 0.000 0.000
Ta 0.000 0.000 0.500
Ta 0.333 0.667 0.004
Ta 0.333 0.667 0.496
Ta 0.667 0.333 0.504
Ta 0.667 0.333 0.996
Rh 0.333 0.667 0.750
Rh 0.667 0.333 0.250
S 0.002 0.333 0.370
S 0.002 0.669 0.130
S 0.331 0.333 0.130
S 0.331 0.998 0.370
S 0.333 0.002 0.630
S 0.333 0.331 0.870
S 0.667 0.669 0.370
S 0.667 0.998 0.130
S 0.669 0.002 0.870
S 0.669 0.667 0.630
S 0.998 0.331 0.630
S 0.998 0.667 0.870

Energy = -22.928 eV per atom
Energy of formation = -1.116 eV per atom


A relaxed structure of NaGa3Te5, computed with r²SCAN.

abc: 10.431 10.431 10.431
angles: 90.39 90.39 90.39
Atoms (fractional coordinates):
Na 0.000 0.000 0.000
Na 0.244 0.756 0.500
Na 0.500 0.244 0.756
Na 0.756 0.500 0.244
Ga 0.073 0.339 0.378
Ga 0.157 0.334 0.753
Ga 0.247 0.666 0.843
Ga 0.334 0.753 0.157
Ga 0.339 0.378 0.073
Ga 0.378 0.073 0.339
Ga 0.622 0.661 0.927
Ga 0.661 0.927 0.622
Ga 0.666 0.843 0.247
Ga 0.753 0.157 0.334
Ga 0.843 0.247 0.666
Ga 0.927 0.622 0.661
Te 0.000 0.577 0.423
Te 0.070 0.174 0.570
Te 0.070 0.813 0.750
Te 0.174 0.570 0.070
Te 0.187 0.930 0.250
Te 0.250 0.187 0.930
Te 0.326 0.326 0.326
Te 0.326 0.500 0.674
Te 0.423 0.000 0.577
Te 0.430 0.826 0.930
Te 0.500 0.674 0.326
Te 0.570 0.070 0.174
Te 0.577 0.423 0.000
Te 0.674 0.326 0.500
Te 0.674 0.674 0.674
Te 0.750 0.070 0.813
Te 0.813 0.750 0.070
Te 0.826 0.930 0.430
Te 0.930 0.250 0.187
Te 0.930 0.430 0.826

Energy = -18.912 eV per atom
Energy of formation = -0.581 eV per atom


A relaxed structure of SmYAl2, computed with r²SCAN.

abc: 7.270 7.270 7.270
angles: 90.00 90.00 90.00
Atoms (fractional coordinates):
Sm 0.000 0.000 0.000
Sm 0.000 0.500 0.500
Sm 0.500 0.000 0.500
Sm 0.500 0.500 0.000
Y 0.000 0.000 0.500
Y 0.000 0.500 0.000
Y 0.500 0.000 0.000
Y 0.500 0.500 0.500
Al 0.250 0.250 0.250
Al 0.250 0.250 0.750
Al 0.250 0.750 0.250
Al 0.250 0.750 0.750
Al 0.750 0.250 0.250
Al 0.750 0.250 0.750
Al 0.750 0.750 0.250
Al 0.750 0.750 0.750

Energy = -16.305 eV per atom
Energy of formation = -0.427 eV per atom